# 1
The following is a GGA-PBE calculation of AlH3O3 after structural relaxation, from Materials Project. Values from VASP.

Geometry as Quantum ESPRESSO input:
```
&SYSTEM
  ibrav = 0, nat = 56, ntyp = 3
/
ATOMIC_SPECIES
H 1.01 H.upf
O 16.00 O.upf
Al 26.98 Al.upf
CELL_PARAMETERS angstrom
-3.490 -3.489 -0.234
6.368 -6.323 -0.711
6.499 -7.101 8.962
ATOMIC_POSITIONS crystal
H 0.840 0.889 0.298
H 0.660 0.889 0.798
O 0.786 0.697 0.113
O 0.711 0.410 0.897
H 0.899 0.775 0.123
O 0.289 0.590 0.103
O 0.144 0.222 0.601
H 0.496 0.006 0.389
O 0.851 0.094 0.397
O 0.214 0.303 0.887
O 0.645 0.070 0.613
O 0.359 0.612 0.392
H 0.399 0.225 0.377
H 0.274 0.495 0.205
O 0.141 0.612 0.892
H 0.101 0.225 0.877
H 0.875 0.200 0.295
O 0.855 0.070 0.113
O 0.145 0.930 0.887
H 0.625 0.200 0.795
H 0.162 0.628 0.395
O 0.789 0.410 0.397
H 0.338 0.628 0.895
O 0.211 0.590 0.603
H 0.838 0.372 0.605
O 0.351 0.906 0.103
O 0.356 0.222 0.101
Al 0.475 0.339 0.500
Al 0.025 0.339 0.000
H 0.125 0.800 0.705
H 0.375 0.800 0.205
H 0.504 0.994 0.611
Al 0.972 0.164 0.500
Al 0.528 0.164 0.000
Al 0.028 0.836 0.500
O 0.714 0.697 0.613
H 0.340 0.111 0.202
H 0.004 0.006 0.889
H 0.601 0.775 0.623
H 0.726 0.505 0.795
H 0.996 0.994 0.111
Al 0.525 0.661 0.500
O 0.286 0.303 0.387
O 0.649 0.094 0.897
O 0.859 0.388 0.108
H 0.226 0.495 0.705
O 0.149 0.906 0.603
O 0.641 0.388 0.608
O 0.856 0.778 0.399
Al 0.975 0.661 0.000
H 0.774 0.505 0.295
Al 0.472 0.836 0.000
H 0.662 0.372 0.105
H 0.160 0.111 0.702
O 0.644 0.778 0.899
O 0.355 0.930 0.387
```

Output
- Total moment: 0.00 Bohr magnetons per cell
- Energy relative to the elements: -2038 meV/atom
- Energy above the lowest structure with this stoichiometry: 0.045 eV/f.u.
- Symmetry: P2_1/c
- Energy with MP2020 corrections: -6.148 eV/atom
- Calculated total energy: -5.853 eV/atom



# 2
The following is a GGA-PBE calculation of Al3P3H7O12 after structural relaxation, from Materials Project. Values from VASP.

Geometry as Quantum ESPRESSO input:
```
&SYSTEM
  ibrav = 0, nat = 150, ntyp = 4
/
ATOMIC_SPECIES
H 1.01 H.upf
O 16.00 O.upf
Al 26.98 Al.upf
P 30.97 P.upf
CELL_PARAMETERS angstrom
-6.810 -2.199 -4.623
-4.155 18.346 -2.607
11.281 -9.026 -12.325
ATOMIC_POSITIONS crystal
H 0.159 0.716 0.999
H 0.483 0.822 0.682
O 0.491 0.351 0.527
O 0.250 0.424 0.324
Al 0.726 0.598 0.595
O 0.000 0.173 0.490
H 0.202 0.952 0.193
Al 0.197 0.343 0.829
H 0.448 0.834 0.951
H 0.451 0.187 0.867
H 0.953 0.950 0.077
H 0.453 0.077 0.127
Al 0.197 0.487 0.657
P 0.852 0.001 0.561
O 0.712 0.614 0.425
O 0.255 0.927 0.375
Al 0.695 0.480 0.829
O 0.346 0.479 0.479
Al 0.226 0.402 0.405
H 0.483 0.318 0.139
Al 0.726 0.405 0.003
O 0.500 0.683 0.173
O 0.024 0.576 0.989
O 0.785 0.630 0.077
O 0.991 0.649 0.473
H 0.659 0.717 0.716
H 0.479 0.336 0.336
P 0.319 0.180 0.675
P 0.852 0.559 0.999
O 0.774 0.897 0.321
O 0.000 0.510 0.683
O 0.991 0.527 0.176
O 0.265 0.578 0.384
O 0.755 0.073 0.625
Al 0.695 0.171 0.651
O 0.255 0.625 0.552
Al 0.195 0.829 0.349
O 0.212 0.189 0.614
H 0.702 0.048 0.807
O 0.265 0.806 0.422
H 0.983 0.178 0.318
O 0.212 0.386 0.575
O 0.785 0.923 0.552
H 0.659 0.284 0.001
H 0.479 0.000 0.664
H 0.702 0.759 0.952
P 0.352 0.441 0.001
H 0.159 0.001 0.717
O 0.774 0.679 0.576
H 0.948 0.951 0.117
H 0.202 0.807 0.759
O 0.712 0.575 0.189
H 0.951 0.867 0.680
P 0.319 0.495 0.820
O 0.712 0.811 0.386
H 0.202 0.241 0.048
H 0.953 0.127 0.050
H 0.479 0.664 0.000
O 0.755 0.552 0.927
O 0.346 0.521 0.000
O 0.274 0.103 0.679
O 0.268 0.485 0.234
H 0.951 0.320 0.187
P 0.819 0.820 0.325
O 0.524 0.989 0.413
O 0.024 0.011 0.587
P 0.321 0.821 0.505
P 0.821 0.505 0.684
H 0.451 0.133 0.320
Al 0.697 0.513 0.343
H 0.979 0.000 0.336
O 0.991 0.824 0.351
O 0.268 0.766 0.251
P 0.352 0.561 0.559
O 0.000 0.317 0.827
H 0.451 0.680 0.813
O 0.298 0.241 0.496
O 0.268 0.749 0.515
O 0.768 0.515 0.766
O 0.346 0.000 0.521
O 0.491 0.473 0.824
H 0.979 0.336 0.000
P 0.352 0.999 0.439
O 0.298 0.504 0.745
H 0.983 0.682 0.861
Al 0.195 0.651 0.480
H 0.483 0.861 0.178
Al 0.226 0.003 0.598
O 0.750 0.100 0.424
H 0.702 0.193 0.241
H 0.453 0.050 0.923
O 0.285 0.370 0.923
H 0.659 0.999 0.283
H 0.983 0.139 0.822
O 0.491 0.176 0.649
O 0.798 0.496 0.255
H 0.979 0.664 0.664
O 0.524 0.424 0.011
O 0.274 0.321 0.424
O 0.285 0.552 0.630
H 0.948 0.166 0.049
H 0.948 0.883 0.834
P 0.821 0.179 0.495
O 0.750 0.576 0.676
O 0.846 0.000 0.479
O 0.765 0.384 0.806
Al 0.195 0.520 0.171
H 0.453 0.873 0.950
P 0.852 0.439 0.441
O 0.265 0.616 0.194
P 0.821 0.316 0.821
Al 0.695 0.349 0.520
P 0.319 0.325 0.505
O 0.755 0.375 0.448
O 0.798 0.745 0.241
O 0.768 0.251 0.485
O 0.250 0.676 0.100
O 0.274 0.576 0.897
P 0.321 0.495 0.316
O 0.785 0.448 0.370
O 0.255 0.448 0.073
O 0.298 0.255 0.759
Al 0.197 0.171 0.513
P 0.819 0.675 0.495
O 0.500 0.827 0.510
O 0.765 0.194 0.578
O 0.768 0.234 0.749
P 0.819 0.505 0.180
O 0.285 0.077 0.448
H 0.951 0.813 0.133
H 0.953 0.923 0.873
O 0.024 0.413 0.424
H 0.448 0.117 0.166
O 0.846 0.479 0.000
Al 0.697 0.829 0.487
O 0.846 0.521 0.521
P 0.321 0.684 0.179
O 0.750 0.324 0.900
Al 0.726 0.997 0.402
O 0.765 0.422 0.616
H 0.448 0.049 0.883
O 0.250 0.900 0.576
O 0.500 0.490 0.317
O 0.524 0.587 0.576
Al 0.697 0.657 0.171
H 0.159 0.283 0.284
O 0.212 0.425 0.811
O 0.774 0.424 0.103
Al 0.226 0.595 0.997
O 0.798 0.759 0.504
```

Output
- Total moment: 30.00 Bohr magnetons per cell
- Energy relative to the elements: -1756 meV/atom
- Symmetry: P6_3
- Energy with MP2020 corrections: -6.180 eV/atom
- Calculated total energy: -5.850 eV/atom



# 3
The following is a GGA-PBE calculation of AlPH4O6 after structural relaxation, from Materials Project. Values from VASP.

Geometry as Quantum ESPRESSO input:
```
&SYSTEM
  ibrav = 0, nat = 96, ntyp = 4
/
ATOMIC_SPECIES
P 30.97 P.upf
Al 26.98 Al.upf
H 1.01 H.upf
O 16.00 O.upf
CELL_PARAMETERS angstrom
-1.683 -4.151 -7.363
9.492 -1.230 -1.476
-0.350 -8.645 4.954
ATOMIC_POSITIONS crystal
P 0.971 0.146 0.852
Al 0.345 0.670 0.134
H 0.708 0.454 0.429
O 0.822 0.054 0.437
Al 0.155 0.330 0.634
O 0.513 0.208 0.785
O 0.178 0.554 0.063
H 0.157 0.914 0.821
O 0.767 0.616 0.193
O 0.299 0.181 0.612
O 0.484 0.986 0.648
O 0.322 0.446 0.563
H 0.843 0.086 0.179
P 0.029 0.854 0.148
O 0.583 0.293 0.041
H 0.802 0.820 0.621
H 0.142 0.927 0.472
H 0.657 0.586 0.179
H 0.343 0.414 0.821
H 0.792 0.954 0.429
H 0.642 0.927 0.028
H 0.858 0.073 0.528
O 0.013 0.292 0.215
Al 0.845 0.830 0.866
H 0.802 0.680 0.121
O 0.016 0.486 0.648
Al 0.345 0.830 0.634
H 0.302 0.680 0.379
O 0.201 0.681 0.612
O 0.678 0.946 0.937
H 0.292 0.954 0.071
H 0.198 0.180 0.379
O 0.417 0.793 0.459
O 0.516 0.486 0.852
Al 0.655 0.170 0.366
H 0.358 0.427 0.472
O 0.487 0.708 0.715
O 0.322 0.054 0.063
O 0.516 0.014 0.352
H 0.358 0.073 0.972
P 0.529 0.854 0.352
Al 0.845 0.670 0.366
O 0.678 0.554 0.437
O 0.701 0.681 0.888
H 0.292 0.546 0.571
Al 0.655 0.330 0.866
O 0.987 0.708 0.785
O 0.822 0.446 0.937
O 0.083 0.207 0.959
O 0.016 0.014 0.148
H 0.698 0.180 0.121
O 0.201 0.819 0.112
O 0.417 0.707 0.959
O 0.178 0.946 0.563
H 0.792 0.546 0.929
O 0.984 0.514 0.352
O 0.299 0.319 0.112
H 0.157 0.586 0.321
O 0.267 0.616 0.307
O 0.484 0.514 0.148
O 0.733 0.384 0.693
H 0.858 0.427 0.028
H 0.198 0.320 0.879
P 0.471 0.354 0.148
H 0.708 0.046 0.929
O 0.917 0.793 0.041
H 0.698 0.320 0.621
O 0.233 0.116 0.307
O 0.233 0.384 0.807
P 0.971 0.354 0.352
O 0.083 0.293 0.459
O 0.917 0.707 0.541
O 0.487 0.792 0.215
H 0.208 0.454 0.071
O 0.701 0.819 0.388
O 0.984 0.986 0.852
H 0.302 0.820 0.879
Al 0.155 0.170 0.134
O 0.733 0.116 0.193
O 0.267 0.884 0.807
H 0.343 0.086 0.321
O 0.767 0.884 0.693
H 0.642 0.573 0.528
H 0.208 0.046 0.571
O 0.513 0.292 0.285
P 0.029 0.646 0.648
O 0.013 0.208 0.715
P 0.529 0.646 0.852
H 0.142 0.573 0.972
H 0.843 0.414 0.679
H 0.657 0.914 0.679
O 0.799 0.319 0.388
O 0.799 0.181 0.888
P 0.471 0.146 0.648
O 0.987 0.792 0.285
O 0.583 0.207 0.541
```

Output
- Total moment: 0.00 Bohr magnetons per cell
- Energy relative to the elements: -2178 meV/atom
- Symmetry: Pbca
- Energy with MP2020 corrections: -6.546 eV/atom
- Calculated total energy: -6.202 eV/atom



What is the energy relative to the elements in the third record? -2178 meV/atom